Entry 1:
Computed, not measured: a relaxed structure of U2S3 at the PBE level of DFT.

- DFT formation energy (eV/atom) = -1.60
- crystal system = orthorhombic
- SG = Pnma (62)
- size of the total moment (μB/f.u.) = 5.63

Unit cell a=3.918 b=10.419 c=11.612 alpha=90.00 beta=90.00 gamma=90.00
Positions (direct):
S 0.250 0.824 0.294
S 0.250 0.324 0.206
S 0.750 0.854 0.559
S 0.750 0.354 0.941
U 0.750 0.320 0.508
S 0.250 0.456 0.618
S 0.250 0.646 0.059
U 0.250 0.180 0.008
S 0.250 0.146 0.441
S 0.750 0.544 0.382
S 0.250 0.956 0.882
U 0.250 0.015 0.648
S 0.750 0.176 0.706
S 0.750 0.044 0.118
S 0.750 0.676 0.794
U 0.250 0.680 0.492
U 0.750 0.985 0.352
U 0.250 0.515 0.852
U 0.750 0.820 0.992
U 0.750 0.485 0.148

---

Entry 2:
Computed, not measured: a relaxed structure of Sr2NbInO6 at the PBE level of DFT.

- DFT formation energy (eV/atom) = -2.94
- crystal system = cubic
- SG = Fm-3m (225)
- size of the total moment (μB/f.u.) = 0.00

Unit cell a=5.854 b=5.854 c=5.854 alpha=60.00 beta=60.00 gamma=60.00
Positions (direct):
O 0.758 0.242 0.758
O 0.242 0.758 0.758
Sr 0.750 0.750 0.750
O 0.758 0.242 0.242
In 0.500 0.500 0.500
Sr 0.250 0.250 0.250
Nb 0.000 0.000 0.000
O 0.242 0.242 0.758
O 0.758 0.758 0.242
O 0.242 0.758 0.242

---

Entry 3:
Computed, not measured: a relaxed structure of AlH4NF4 at the PBE level of DFT.

- DFT formation energy (eV/atom) = -2.16
- crystal system = tetragonal
- SG = P4_2/ncm (138)
- polymorph energy (0 for the lowest one) (meV per atom) = 3
- size of the total moment (μB/f.u.) = 0.00

Unit cell a=11.758 b=11.758 c=12.919 alpha=90.00 beta=90.00 gamma=90.00
Positions (direct):
N 0.250 0.750 0.500
F 0.044 0.694 0.108
F 0.751 0.905 0.254
F 0.649 0.457 0.881
F 0.966 0.966 0.724
H 0.249 0.822 0.454
F 0.043 0.649 0.381
F 0.683 0.108 0.765
Al 0.325 0.957 0.753
F 0.250 0.250 0.607
F 0.892 0.183 0.735
F 0.095 0.249 0.746
F 0.750 0.750 0.115
F 0.694 0.044 0.108
F 0.183 0.892 0.735
F 0.251 0.095 0.246
F 0.108 0.817 0.265
F 0.817 0.392 0.765
H 0.650 0.850 0.578
F 0.851 0.457 0.381
F 0.751 0.595 0.754
Al 0.043 0.675 0.247
F 0.306 0.956 0.892
F 0.095 0.251 0.246
H 0.467 0.366 0.497
H 0.634 0.967 0.003
F 0.250 0.250 0.385
N 0.750 0.250 0.500
Al 0.175 0.543 0.753
H 0.346 0.346 0.566
H 0.112 0.011 0.916
F 0.044 0.806 0.608
Al 0.175 0.957 0.253
F 0.405 0.249 0.246
N 0.410 0.090 0.444
H 0.586 0.586 0.976
F 0.683 0.392 0.265
H 0.749 0.178 0.046
F 0.544 0.306 0.392
N 0.406 0.094 0.043
H 0.822 0.249 0.454
H 0.134 0.033 0.497
F 0.806 0.044 0.608
H 0.086 0.086 0.024
Al 0.750 0.750 0.254
F 0.534 0.966 0.224
N 0.094 0.406 0.043
H 0.678 0.251 0.454
F 0.392 0.683 0.265
H 0.533 0.866 0.003
Al 0.250 0.250 0.246
F 0.034 0.466 0.776
F 0.817 0.108 0.265
H 0.251 0.678 0.454
H 0.414 0.414 0.024
Al 0.043 0.825 0.747
F 0.249 0.095 0.746
N 0.410 0.410 0.944
H 0.251 0.822 0.954
F 0.456 0.694 0.608
Al 0.457 0.675 0.747
H 0.749 0.322 0.546
Al 0.457 0.825 0.247
N 0.590 0.590 0.056
N 0.594 0.906 0.957
F 0.149 0.957 0.119
H 0.888 0.989 0.084
F 0.595 0.749 0.254
H 0.866 0.967 0.503
H 0.634 0.533 0.503
F 0.957 0.149 0.119
H 0.058 0.058 0.608
H 0.914 0.914 0.976
F 0.034 0.034 0.276
H 0.112 0.489 0.416
F 0.749 0.905 0.754
H 0.011 0.388 0.416
F 0.456 0.806 0.108
N 0.906 0.906 0.457
H 0.178 0.751 0.546
H 0.942 0.942 0.392
Al 0.325 0.543 0.253
H 0.489 0.388 0.916
H 0.846 0.846 0.434
F 0.544 0.194 0.892
H 0.678 0.249 0.954
F 0.183 0.608 0.235
N 0.406 0.406 0.543
H 0.942 0.558 0.892
H 0.654 0.846 0.934
Al 0.543 0.175 0.753
F 0.534 0.534 0.724
F 0.149 0.543 0.619
F 0.649 0.043 0.381
H 0.612 0.511 0.084
F 0.608 0.317 0.735
F 0.457 0.649 0.881
H 0.033 0.134 0.497
H 0.178 0.749 0.046
F 0.905 0.751 0.254
F 0.250 0.250 0.107
F 0.543 0.149 0.619
H 0.467 0.134 0.997
Al 0.250 0.250 0.746
N 0.910 0.590 0.556
N 0.094 0.094 0.543
H 0.914 0.586 0.476
F 0.750 0.750 0.393
F 0.892 0.317 0.235
F 0.194 0.544 0.892
H 0.586 0.914 0.476
F 0.608 0.183 0.235
Al 0.825 0.043 0.747
Al 0.675 0.457 0.747
F 0.249 0.405 0.246
H 0.967 0.634 0.003
F 0.194 0.956 0.392
H 0.414 0.086 0.524
F 0.750 0.750 0.893
N 0.750 0.250 0.000
N 0.590 0.910 0.556
H 0.850 0.850 0.078
H 0.751 0.322 0.046
F 0.750 0.750 0.615
F 0.405 0.251 0.746
F 0.306 0.544 0.392
H 0.011 0.112 0.916
N 0.090 0.410 0.444
H 0.846 0.654 0.934
H 0.322 0.751 0.046
H 0.154 0.154 0.566
H 0.366 0.033 0.997
Al 0.675 0.043 0.247
F 0.806 0.456 0.108
H 0.751 0.178 0.546
F 0.251 0.405 0.746
H 0.150 0.350 0.422
H 0.134 0.467 0.997
F 0.108 0.683 0.765
H 0.442 0.442 0.608
H 0.388 0.011 0.416
N 0.090 0.090 0.944
Al 0.957 0.325 0.753
F 0.317 0.892 0.235
F 0.956 0.194 0.392
H 0.511 0.888 0.584
F 0.392 0.817 0.765
H 0.866 0.533 0.003
H 0.033 0.366 0.997
H 0.967 0.866 0.503
F 0.250 0.250 0.885
H 0.388 0.489 0.916
F 0.466 0.034 0.776
H 0.350 0.350 0.922
Al 0.825 0.457 0.247
H 0.612 0.989 0.584
H 0.350 0.150 0.422
H 0.086 0.414 0.524
H 0.822 0.251 0.954
H 0.150 0.150 0.922
F 0.956 0.306 0.892
H 0.511 0.612 0.084
F 0.351 0.957 0.619
H 0.249 0.678 0.954
H 0.322 0.749 0.546
Al 0.750 0.750 0.754
F 0.351 0.543 0.119
F 0.966 0.534 0.224
F 0.543 0.351 0.119
N 0.594 0.594 0.457
F 0.317 0.608 0.735
H 0.346 0.154 0.066
F 0.466 0.466 0.276
F 0.043 0.851 0.881
H 0.533 0.634 0.503
N 0.250 0.750 0.000
H 0.558 0.558 0.392
H 0.154 0.346 0.066
H 0.058 0.442 0.108
H 0.989 0.612 0.584
H 0.888 0.511 0.584
F 0.457 0.851 0.381
H 0.850 0.650 0.578
F 0.694 0.456 0.608
H 0.650 0.650 0.078
F 0.595 0.751 0.754
F 0.851 0.043 0.881
F 0.749 0.595 0.254
N 0.906 0.594 0.957
H 0.654 0.654 0.434
F 0.957 0.351 0.619
Al 0.957 0.175 0.253
F 0.905 0.749 0.754
H 0.558 0.942 0.892
Al 0.543 0.325 0.253
H 0.489 0.112 0.416
H 0.366 0.467 0.497
H 0.442 0.058 0.108
N 0.910 0.910 0.056
H 0.989 0.888 0.084

---

Entry 4:
Computed, not measured: a relaxed structure of Mg2Be3P3H13O19 at the PBE level of DFT.

- DFT formation energy (eV/atom) = -1.97
- crystal system = monoclinic
- SG = P2_1 (4)
- polymorph energy (0 for the lowest one) (meV per atom) = 201
- size of the total moment (μB/f.u.) = 1.00

Unit cell a=10.316 b=10.251 c=8.446 alpha=90.00 beta=90.00 gamma=121.91
Positions (direct):
O 0.800 0.714 0.954
O 0.689 0.516 0.422
O 0.200 0.286 0.454
H 0.593 0.139 0.189
O 0.141 0.560 0.950
O 0.237 0.490 0.263
Mg 0.330 0.664 0.440
Be 0.910 0.099 0.113
H 0.717 0.636 0.311
P 0.831 0.683 0.784
H 0.487 0.964 0.535
O 0.275 0.095 0.949
H 0.901 0.550 0.115
H 0.961 0.458 0.033
H 0.000 0.000 0.408
Be 0.104 0.195 0.606
O 0.443 0.858 0.584
P 0.674 0.842 0.284
H 0.283 0.364 0.811
Be 0.809 0.904 0.603
H 0.743 0.592 0.507
O 0.481 0.868 0.960
Be 0.896 0.805 0.106
Mg 0.670 0.336 0.940
H 0.422 0.100 0.516
O 0.914 0.188 0.956
P 0.326 0.158 0.784
O 0.252 0.261 0.742
P 0.861 0.182 0.788
O 0.859 0.440 0.450
O 0.134 0.557 0.582
H 0.465 0.387 0.106
H 0.000 0.000 0.908
H 0.407 0.861 0.689
H 0.611 0.541 0.038
O 0.311 0.484 0.922
P 0.139 0.818 0.288
O 0.748 0.733 0.664
Mg 0.331 0.672 0.083
P 0.169 0.317 0.284
H 0.999 0.999 0.308
O 0.519 0.132 0.460
H 0.578 0.900 0.016
H 0.141 0.586 0.837
O 0.004 0.777 0.751
H 0.651 0.944 0.778
O 0.996 0.223 0.251
O 0.000 0.996 0.092
O 0.430 0.566 0.566
O 0.557 0.142 0.084
O 0.252 0.267 0.164
O 0.992 0.250 0.669
H 0.389 0.459 0.538
O 0.758 0.246 0.770
O 0.758 0.998 0.739
O 0.008 0.750 0.169
Be 0.191 0.096 0.103
O 0.499 0.257 0.767
O 0.763 0.510 0.763
O 0.242 0.754 0.270
O 0.748 0.739 0.242
O 0.086 0.812 0.456
H 0.257 0.408 0.007
O 0.738 0.967 0.156
O 0.000 0.004 0.592
O 0.570 0.434 0.066
O 0.866 0.443 0.082
H 0.039 0.542 0.533
H 0.349 0.056 0.278
Be 0.090 0.901 0.613
H 0.513 0.036 0.035
H 0.001 0.001 0.808
Mg 0.669 0.328 0.583
H 0.099 0.450 0.615
O 0.262 0.033 0.656
O 0.242 0.002 0.239
O 0.725 0.905 0.449
H 0.859 0.414 0.337
O 0.501 0.743 0.267
H 0.535 0.613 0.606